No. 1
Ni4Te3N2: relaxed, PBE.

Summary:
Space-group type: Pnma (62)
Calculated volume in Å³ per atom: 16.336
Relative energy among the computed polymorphs in eV/atom: 0.0000
ΔH_f (0 K) in eV/atom: 0.12
Size of the total moment in μB/cell: 0.000

The structure in extended XYZ format:
```
36
Lattice="6.261 0.000 0.000 0.000 10.568 0.000 0.000 0.000 8.888" Properties=species:S:1:pos:R:3 pbc="T T T"
Ni 0.145 2.642 1.314
Ni 1.202 5.719 0.569
Ni 1.202 10.133 0.569
Ni 1.297 2.642 8.127
Ni 1.833 7.926 3.683
Ni 1.928 0.435 5.013
Ni 1.928 4.849 5.013
Ni 2.986 7.926 5.757
Ni 3.276 2.642 3.130
Ni 4.333 5.719 3.875
Ni 4.333 10.133 3.875
Ni 4.428 2.642 5.205
Ni 4.964 7.926 0.761
Ni 5.059 0.435 8.319
Ni 5.059 4.849 8.319
Ni 6.116 7.926 7.574
Te 0.350 0.638 2.863
Te 0.350 4.646 2.863
Te 0.721 2.642 5.726
Te 2.410 7.926 1.282
Te 2.781 5.922 7.307
Te 2.781 9.930 7.307
Te 3.480 0.638 1.580
Te 3.480 4.646 1.580
Te 3.851 2.642 7.606
Te 5.540 7.926 3.162
Te 5.912 5.922 6.024
Te 5.912 9.930 6.024
N 0.399 1.249 0.048
N 0.399 4.035 0.048
N 2.732 6.533 4.492
N 2.732 9.319 4.492
N 3.529 1.249 4.396
N 3.529 4.035 4.396
N 5.863 6.533 8.840
N 5.863 9.319 8.840
```

---

No. 2
Ti7Ni3N10: relaxed, PBE.

Summary:
Space-group type: Imm2 (44)
Calculated volume in Å³ per atom: 9.564
ΔH_f (0 K) in eV/atom: -1.08
Size of the total moment in μB/cell: 0.000

The structure in extended XYZ format:
```
20
Lattice="-2.673 7.117 2.514 2.673 -7.117 2.514 2.673 7.117 -2.514" Properties=species:S:1:pos:R:3 pbc="T T T"
Ti 0.000 0.000 0.000
Ti 2.673 2.854 -0.028
Ti 2.673 -1.415 2.466
Ti 2.673 5.688 0.040
Ti 2.673 1.415 2.466
Ti 0.000 1.429 2.554
Ti 0.000 4.263 2.486
Ni 2.673 -4.206 2.426
Ni 2.673 4.206 2.426
Ni 0.000 7.117 2.159
N 1.317 4.276 -0.819
N 1.355 -2.841 1.696
N 1.400 7.117 -0.745
N 1.273 0.000 1.769
N 1.317 9.958 -0.819
N 1.355 2.841 1.696
N -1.309 5.703 1.652
N 1.309 5.703 1.652
N -1.309 8.530 1.652
N 1.309 8.530 1.652
```

---

No. 3
TiNi4N4: relaxed, PBE.

Summary:
Space-group type: P-1 (2)
Calculated volume in Å³ per atom: 10.218
ΔH_f (0 K) in eV/atom: -0.19
Size of the total moment in μB/cell: 0.031

The structure in extended XYZ format:
```
18
Lattice="5.402 0.000 0.000 2.491 4.878 0.000 1.676 2.198 6.980" Properties=species:S:1:pos:R:3 pbc="T T T"
Ti 1.838 0.871 1.564
Ti 7.732 6.205 5.417
Ni 3.115 3.330 5.659
Ni 3.424 3.565 3.153
Ni 4.865 5.881 4.380
Ni 3.294 3.208 0.502
Ni 6.276 3.867 6.478
Ni 4.705 1.195 2.601
Ni 6.146 3.511 3.827
Ni 6.455 3.746 1.321
N 2.788 4.545 1.678
N 3.318 4.825 4.491
N 4.444 3.714 6.883
N 3.938 2.090 4.182
N 5.631 4.986 2.799
N 5.126 3.361 0.097
N 6.251 2.251 2.489
N 6.782 2.530 5.302
```

---

No. 4
VNi4N4: relaxed, PBE.

Summary:
Space-group type: P-1 (2)
Calculated volume in Å³ per atom: 10.453
ΔH_f (0 K) in eV/atom: -0.12
Size of the total moment in μB/cell: 0.003

The structure in extended XYZ format:
```
18
Lattice="4.855 0.000 0.000 0.860 5.075 0.000 0.966 0.807 7.636" Properties=species:S:1:pos:R:3 pbc="T T T"
V 1.638 2.025 1.902
V 5.043 3.857 5.734
Ni 1.428 1.475 5.012
Ni 2.538 3.516 6.891
Ni 2.157 4.864 0.803
Ni 2.487 3.875 4.312
Ni 4.194 2.007 3.324
Ni 4.524 1.019 6.833
Ni 4.143 2.366 0.745
Ni 5.253 4.407 2.624
N 0.907 3.476 1.065
N 1.699 4.904 5.684
N 2.351 2.134 3.598
N 2.494 1.297 0.352
N 4.187 4.586 7.284
N 4.330 3.748 4.038
N 4.982 0.979 1.952
N 5.774 2.406 6.571
```

---

No. 5
VNi2N3: relaxed, PBE.

Summary:
Space-group type: Cmcm (63)
Calculated volume in Å³ per atom: 9.773
ΔH_f (0 K) in eV/atom: -0.25
Size of the total moment in μB/cell: 0.352

The structure in extended XYZ format:
```
12
Lattice="4.742 -3.101 0.000 4.742 3.101 0.000 0.000 0.000 3.987" Properties=species:S:1:pos:R:3 pbc="T T T"
V 4.742 1.955 2.990
V 4.742 -1.955 0.997
Ni 3.307 0.947 0.997
Ni 6.177 0.947 0.997
Ni 3.307 -0.947 2.990
Ni 6.177 -0.947 2.990
N 4.742 2.266 0.997
N 3.137 1.007 2.990
N 3.137 -1.007 0.997
N 6.348 1.007 2.990
N 6.348 -1.007 0.997
N 4.742 -2.266 2.990
```

---

No. 6
V2NiN2: relaxed, PBE.

Summary:
Space-group type: I4/mmm (139)
Calculated volume in Å³ per atom: 9.615
ΔH_f (0 K) in eV/atom: -0.92
Size of the total moment in μB/cell: 0.008

The structure in extended XYZ format:
```
5
Lattice="-1.436 1.436 5.830 1.436 -1.436 5.830 1.436 1.436 -5.830" Properties=species:S:1:pos:R:3 pbc="T T T"
V 0.000 0.000 1.942
V 0.000 0.000 9.718
Ni 0.000 0.000 5.830
N 0.000 0.000 3.969
N 0.000 0.000 7.692
```

---

No. 7
V4Ni2N: relaxed, PBE.

Summary:
Space-group type: Fd-3m (227)
Calculated volume in Å³ per atom: 11.385
ΔH_f (0 K) in eV/atom: -0.60

The structure in extended XYZ format:
```
28
Lattice="0.000 5.422 5.422 5.422 0.000 5.422 5.422 5.422 0.000" Properties=species:S:1:pos:R:3 pbc="T T T"
V 0.000 0.000 0.000
V 2.711 2.711 0.000
V 2.711 0.000 2.711
V 4.066 4.066 2.110
V 4.066 2.110 4.066
V 6.023 4.066 4.066
V 6.777 6.777 4.821
V 6.777 4.821 6.777
V 8.734 6.777 6.777
V 0.000 2.711 2.711
V 2.110 4.066 4.066
V 4.066 6.023 4.066
V 4.066 4.066 6.023
V 4.821 6.777 6.777
V 6.777 8.734 6.777
V 6.777 6.777 8.734
Ni 8.602 4.953 4.953
Ni 2.242 2.242 2.242
Ni 5.891 5.891 2.242
Ni 5.891 2.242 5.891
Ni 4.953 8.602 4.953
Ni 4.953 4.953 8.602
Ni 8.602 8.602 8.602
Ni 2.242 5.891 5.891
N 5.422 2.711 2.711
N 2.711 5.422 2.711
N 2.711 2.711 5.422
N 5.422 5.422 5.422
```

---

No. 8
NiW3N: relaxed, PBE.

Summary:
Space-group type: Pnma (62)
Calculated volume in Å³ per atom: 12.876
ΔH_f (0 K) in eV/atom: -0.06
Size of the total moment in μB/cell: 0.007

The structure in extended XYZ format:
```
20
Lattice="6.174 0.000 0.000 0.000 7.940 0.000 0.000 0.000 5.253" Properties=species:S:1:pos:R:3 pbc="T T T"
Ni 0.682 1.985 0.310
Ni 2.405 5.955 2.937
Ni 3.769 1.985 2.317
Ni 5.492 5.955 4.943
W 0.077 5.955 2.006
W 1.168 4.358 4.478
W 1.168 7.552 4.478
W 1.919 0.388 1.852
W 1.919 3.582 1.852
W 3.010 1.985 4.633
W 3.164 5.955 0.620
W 4.255 4.358 3.401
W 4.255 7.552 3.401
W 5.006 0.388 0.775
W 5.006 3.582 0.775
W 6.097 1.985 3.247
N 0.000 0.000 2.627
N 0.000 3.970 2.627
N 3.087 0.000 0.000
N 3.087 3.970 0.000
```